Entry from the Materials Project: crystalline MnFeSi2 at its relaxed geometry (r2SCAN).

POSCAR file:
```
MnFeSi2
1.0
4.4431 0.0000 0.0000
0.0000 4.4617 0.0058
0.0000 0.0236 4.4815
Fe Si Mn
2 4 2
Direct
0.3614 0.3603 0.8852
0.8614 0.6397 0.1148
0.6580 0.6490 0.5983
0.1580 0.3510 0.4016
0.8432 0.1630 0.9101
0.3432 0.8370 0.0900
0.6374 0.1306 0.3934
0.1373 0.8693 0.6066
```

Calculated values
Space-group type   No. 4
Crystal system   monoclinic

Entry from the Materials Project: crystalline Yb3Pb at its relaxed geometry (r2SCAN).

POSCAR file:
```
Yb3Pb
1.0
-4.4703 -1.6088 -0.4990
0.7495 -3.1671 3.4970
-1.5085 3.1941 3.2161
Yb Pb
3 1
Direct
0.5000 0.5000 0.0000
0.0000 0.5000 0.5000
0.5000 0.0000 0.5000
0.0000 0.0000 0.0000
```

Calculated values
Space-group type   No. 221
Crystal system   cubic

Entry from the Materials Project: crystalline Na6NiS4O16 at its relaxed geometry (r2SCAN).

POSCAR file:
```
Na6NiS4O16
1.0
2.7028 7.5262 -1.0663
-0.9099 1.5928 8.9361
6.9701 -6.2787 1.8288
Na O S Ni
12 32 8 2
Direct
0.6865 0.8686 0.1162
0.0910 0.1546 0.4386
0.5363 0.9872 0.6871
0.1865 0.6314 0.1162
0.9637 0.4872 0.3129
0.0363 0.5128 0.6871
0.4637 0.0128 0.3129
0.4090 0.6546 0.5614
0.8135 0.3686 0.8838
0.3135 0.1314 0.8838
0.9090 0.8454 0.5614
0.5910 0.3454 0.4386
0.3187 0.8976 0.4665
0.1540 0.1839 0.0252
0.8068 0.2634 0.2942
0.8187 0.6024 0.4665
0.9934 0.9157 0.3539
0.6540 0.3161 0.0252
0.6390 0.8092 0.3339
0.6703 0.5961 0.1970
0.1703 0.9039 0.1970
0.1932 0.7366 0.7058
0.8477 0.1060 0.1063
0.3068 0.2366 0.2942
0.4347 0.8941 0.8662
0.9347 0.6059 0.8662
0.6932 0.7634 0.7058
0.8460 0.8161 0.9748
0.3610 0.1908 0.6661
0.8297 0.0961 0.8030
0.0653 0.3941 0.1338
0.3297 0.4039 0.8030
0.6813 0.1024 0.5335
0.6523 0.6060 0.8937
0.5066 0.4157 0.6461
0.3477 0.3940 0.1063
0.1390 0.6908 0.3339
0.1813 0.3976 0.5335
0.0066 0.0843 0.6461
0.4934 0.5843 0.3539
0.3460 0.6839 0.9748
0.5653 0.1059 0.1338
0.8610 0.3092 0.6661
0.1523 0.8940 0.8937
0.1517 0.8517 0.3392
0.6517 0.6483 0.3392
0.8483 0.1483 0.6608
0.2809 0.8023 0.8579
0.7191 0.1977 0.1421
0.7809 0.6977 0.8579
0.3483 0.3517 0.6608
0.2191 0.3023 0.1421
0.0000 0.0000 0.0000
0.5000 0.5000 0.0000
```

Calculated values
Space-group type   No. 14
Crystal system   monoclinic

Entry from the Materials Project: crystalline YbH7C3O8 at its relaxed geometry (r2SCAN).

POSCAR file:
```
YbH7C3O8
1.0
6.4431 0.0142 -0.0120
0.7526 6.4163 -0.0629
0.4785 3.0122 8.8443
H O Yb C
14 16 2 6
Direct
0.8003 0.7201 0.3431
0.1492 0.3018 0.9431
0.6016 0.6964 0.0510
0.7331 0.3646 0.2884
0.1997 0.2799 0.6569
0.1519 0.8290 0.4287
0.2067 0.8823 0.0641
0.4029 0.8129 0.4265
0.7933 0.1177 0.9359
0.8508 0.6982 0.0569
0.5971 0.1871 0.5735
0.2669 0.6354 0.7116
0.8481 0.1710 0.5713
0.3984 0.3036 0.9490
0.6012 0.4035 0.8508
0.7249 0.1018 0.6252
0.7295 0.7353 0.9890
0.9496 0.7299 0.5285
0.0504 0.2701 0.4715
0.3988 0.5965 0.1492
0.2751 0.8982 0.3748
0.3860 0.3001 0.4692
0.6140 0.6999 0.5308
0.9423 0.3923 0.8322
0.0631 0.8389 0.7909
0.4080 0.8547 0.7764
0.9369 0.1611 0.2091
0.5920 0.1453 0.2236
0.2705 0.2647 0.0110
0.0577 0.6077 0.1678
0.2503 0.2567 0.2510
0.7497 0.7433 0.7490
0.2206 0.7058 0.1243
0.7794 0.2942 0.8757
0.2116 0.2842 0.5388
0.7884 0.7158 0.4612
0.7536 0.2269 0.2414
0.2464 0.7731 0.7586
```

Calculated values
Space-group type   No. 2
Crystal system   triclinic

Entry from the Materials Project: crystalline NaAlF4 at its relaxed geometry (r2SCAN).

POSCAR file:
```
NaAlF4
1.0
-3.6152 0.0000 0.0000
0.0000 0.0000 -5.2284
1.8076 -7.4232 0.0000
F Al Na
8 2 2
Direct
0.0000 0.0000 0.0000
0.1707 0.4879 0.3414
0.0000 0.5000 0.0000
0.8293 0.5121 0.6586
0.5812 0.2500 0.1624
0.8293 0.9879 0.6586
0.1707 0.0121 0.3414
0.4188 0.7500 0.8376
0.0853 0.2500 0.1707
0.9147 0.7500 0.8293
0.6957 0.7500 0.3914
0.3043 0.2500 0.6086
```

Calculated values
Space-group type   No. 63
Crystal system   orthorhombic

Entry from the Materials Project: crystalline Li2GaPt at its relaxed geometry (r2SCAN).

POSCAR file:
```
Li2GaPt
1.0
3.6773 0.0000 2.1231
1.2258 3.4670 2.1231
0.0000 0.0000 4.2462
Pt Li Ga
1 2 1
Direct
0.0000 0.0000 0.0000
0.5000 0.5000 0.5000
0.2500 0.2500 0.2500
0.7500 0.7500 0.7500
```

Calculated values
Space-group type   No. 216
Crystal system   cubic

Entry from the Materials Project: crystalline V3As2O9 at its relaxed geometry (r2SCAN).

POSCAR file:
```
V3As2O9
1.0
3.2049 4.3324 -0.0223
-3.2049 4.3324 -0.0223
0.0000 1.6391 6.1376
O V As
9 3 2
Direct
0.7310 0.1114 0.3072
0.2106 0.2106 0.3118
0.6288 0.6288 0.3754
0.1114 0.7310 0.3072
0.2716 0.8907 0.6914
0.4980 0.4980 0.9948
0.8907 0.2716 0.6914
0.7936 0.7936 0.6940
0.3693 0.3693 0.6286
0.5797 0.5797 0.7162
0.9839 0.9839 0.5166
0.4051 0.4051 0.2981
0.8154 0.8154 0.1829
0.1813 0.1813 0.8202
```

Calculated values
Space-group type   No. 8
Crystal system   monoclinic

Entry from the Materials Project: crystalline LaAu3 at its relaxed geometry (r2SCAN).

POSCAR file:
```
LaAu3
1.0
0.0000 3.5520 3.5520
3.5520 0.0000 3.5520
3.5520 3.5520 0.0000
Au La
3 1
Direct
0.5000 0.5000 0.5000
0.2500 0.2500 0.2500
0.0000 0.0000 0.0000
0.7500 0.7500 0.7500
```

Calculated values
Space-group type   No. 225
Crystal system   cubic

no.,ρ (g/cm³),formation energy from the elements (meV/atom)
1,6.241,-301
2,11.063,-324
3,2.984,-1876
4,3.116,-1389
5,2.981,-3608
6,8.548,-718
7,4.346,-2146
8,13.521,-726